# 1
Er12Ga9Ge11: relaxed, meta-GGA r2SCAN.

POSCAR file:
```
Er12Ga9Ge11
1.0
18.735 0.000 0.000
0.000 4.640 3.701
0.000 -4.640 3.701
Er Ga Ge
12 9 11
Direct
0.000 0.000 0.000 Er
0.125 0.143 0.539 Er
0.125 0.539 0.143 Er
0.251 0.682 0.682 Er
0.375 0.141 0.539 Er
0.375 0.539 0.141 Er
0.500 0.998 0.998 Er
0.625 0.141 0.539 Er
0.625 0.539 0.141 Er
0.749 0.682 0.682 Er
0.875 0.143 0.539 Er
0.875 0.539 0.143 Er
0.100 0.665 0.665 Ga
0.150 0.017 0.017 Ga
0.350 0.017 0.017 Ga
0.402 0.658 0.658 Ga
0.500 0.386 0.386 Ga
0.598 0.658 0.658 Ga
0.650 0.017 0.017 Ga
0.850 0.017 0.017 Ga
0.900 0.665 0.665 Ga
0.000 0.388 0.388 Ge
0.000 0.437 0.837 Ge
0.000 0.837 0.437 Ge
0.250 0.246 0.845 Ge
0.250 0.294 0.294 Ge
0.250 0.845 0.246 Ge
0.500 0.434 0.838 Ge
0.500 0.838 0.434 Ge
0.750 0.246 0.845 Ge
0.750 0.294 0.294 Ge
0.750 0.845 0.246 Ge
```

For the formation energy, the calculation gives -0.78 eV per atom. Its space group is Amm2, No. 38.

=====

# 2
Zr10C9: relaxed, meta-GGA r2SCAN.

POSCAR file:
```
Zr10C9
1.0
8.160 -3.342 0.000
8.160 3.342 0.000
-5.437 0.000 9.624
Zr C
20 18
Direct
0.033 0.279 0.956 Zr
0.082 0.814 0.855 Zr
0.123 0.372 0.750 Zr
0.186 0.918 0.645 Zr
0.223 0.479 0.553 Zr
0.279 0.033 0.456 Zr
0.332 0.563 0.351 Zr
0.372 0.123 0.250 Zr
0.437 0.668 0.149 Zr
0.479 0.223 0.053 Zr
0.521 0.777 0.947 Zr
0.563 0.332 0.851 Zr
0.628 0.877 0.750 Zr
0.668 0.437 0.649 Zr
0.721 0.967 0.544 Zr
0.777 0.521 0.447 Zr
0.814 0.082 0.355 Zr
0.877 0.628 0.250 Zr
0.918 0.186 0.145 Zr
0.967 0.721 0.044 Zr
0.025 0.777 0.450 C
0.076 0.321 0.350 C
0.172 0.425 0.148 C
0.223 0.975 0.050 C
0.276 0.528 0.949 C
0.321 0.076 0.850 C
0.377 0.623 0.750 C
0.425 0.172 0.648 C
0.472 0.724 0.551 C
0.528 0.276 0.449 C
0.575 0.828 0.352 C
0.623 0.377 0.250 C
0.679 0.924 0.150 C
0.724 0.472 0.051 C
0.777 0.025 0.950 C
0.828 0.575 0.852 C
0.924 0.679 0.650 C
0.975 0.223 0.550 C
```

For the formation energy, the calculation gives -1.00 eV per atom. Its space group is C2/c, No. 15.

=====

# 3
IrF3: relaxed, meta-GGA r2SCAN.

POSCAR file:
```
IrF3
1.0
2.479 1.432 4.572
-2.479 1.432 4.572
0.000 -2.863 4.572
Ir F
2 6
Direct
0.000 0.000 0.000 Ir
0.500 0.500 0.500 Ir
0.079 0.750 0.421 F
0.250 0.579 0.921 F
0.421 0.079 0.750 F
0.579 0.921 0.250 F
0.750 0.421 0.079 F
0.921 0.250 0.579 F
```

For the formation energy, the calculation gives -1.49 eV per atom. Its space group is R-3c, No. 167.

=====

# 4
PrSI: relaxed, meta-GGA r2SCAN.

POSCAR file:
```
PrSI
1.0
7.121 0.000 0.000
0.000 14.489 0.000
0.000 0.000 7.353
Pr S I
8 8 8
Direct
0.242 0.084 0.029 Pr
0.242 0.416 0.529 Pr
0.258 0.584 0.029 Pr
0.258 0.916 0.529 Pr
0.742 0.084 0.471 Pr
0.742 0.416 0.971 Pr
0.758 0.584 0.471 Pr
0.758 0.916 0.971 Pr
0.001 0.023 0.742 S
0.001 0.477 0.242 S
0.499 0.523 0.742 S
0.499 0.977 0.242 S
0.501 0.023 0.758 S
0.501 0.477 0.258 S
0.999 0.523 0.758 S
0.999 0.977 0.258 S
0.179 0.701 0.404 I
0.179 0.799 0.904 I
0.321 0.201 0.404 I
0.321 0.299 0.904 I
0.679 0.701 0.096 I
0.679 0.799 0.596 I
0.821 0.201 0.096 I
0.821 0.299 0.596 I
```

For the formation energy, the calculation gives -2.06 eV per atom. Its space group is Pbca, No. 61.

=====

# 5
ZrBr: relaxed, meta-GGA r2SCAN.

POSCAR file:
```
ZrBr
1.0
3.454 0.000 0.000
-1.727 2.992 0.000
0.000 0.000 9.989
Zr Br
2 2
Direct
0.333 0.667 0.377 Zr
0.667 0.333 0.623 Zr
0.333 0.667 0.817 Br
0.667 0.333 0.183 Br
```

For the formation energy, the calculation gives -1.09 eV per atom. Its space group is P-3m1, No. 164. For the energy above the most stable polymorph in this dataset, the calculation gives 0.093 eV/atom.

=====

# 6
Nb2Pd3Se8: relaxed, meta-GGA r2SCAN.

POSCAR file:
```
Nb2Pd3Se8
1.0
10.961 0.000 0.000
0.000 15.386 0.000
0.000 0.000 3.600
Nb Pd Se
4 6 16
Direct
0.205 0.120 0.000 Nb
0.295 0.620 0.000 Nb
0.705 0.380 0.000 Nb
0.795 0.880 0.000 Nb
0.000 0.000 0.500 Pd
0.133 0.720 0.500 Pd
0.367 0.220 0.500 Pd
0.500 0.500 0.500 Pd
0.633 0.780 0.500 Pd
0.867 0.280 0.500 Pd
0.036 0.157 0.500 Se
0.060 0.622 0.000 Se
0.225 0.996 0.500 Se
0.241 0.285 0.000 Se
0.259 0.785 0.000 Se
0.275 0.496 0.500 Se
0.440 0.122 0.000 Se
0.464 0.657 0.500 Se
0.536 0.343 0.500 Se
0.560 0.878 0.000 Se
0.725 0.504 0.500 Se
0.741 0.215 0.000 Se
0.759 0.715 0.000 Se
0.775 0.004 0.500 Se
0.940 0.378 0.000 Se
0.964 0.843 0.500 Se
```

For the formation energy, the calculation gives -0.72 eV per atom. Its space group is Pbam, No. 55.

=====

Total DFT energy (no corrections) values, unit eV per atom, following the record order: -21.4858 -17.6838 -16.9200 -22.7302 -19.0971 -18.6268.
Ρ values, unit Mg/m³, following the record order: 8.9 6.5 8.5 5.3 5.5 6.2.